## LiLa2HO3 (GGA-PBE)

Data for an optimized crystal structure of LiLa2HO3.

Structure (CIF):
```
data_LiLa2HO3
_chemical_formula_sum 'Li2 La4 H2 O6'
_space_group_name_H-M_alt 'I m m m'
_space_group_IT_number 71
_space_group_name_Hall '-I 2 2'
_cell_length_a 3.582
_cell_length_b 3.798
_cell_length_c 12.931
_cell_angle_alpha 90.00
_cell_angle_beta 90.00
_cell_angle_gamma 90.00
loop_
_atom_site_label
_atom_site_fract_x
_atom_site_fract_y
_atom_site_fract_z
Li1 0.000 0.000 0.000
La1 0.000 0.000 0.363
H1 0.000 0.500 0.500
O1 0.000 0.000 0.177
O2 0.000 0.500 0.000
```

Summary:
The volume is 12.57 Å³ per atom. Its magnetic moment is 0.00 μB per formula unit. The calculation puts the uncorrected energy at -6.86 eV/atom. As for the formation energy: -2.864 eV/atom.